# USbRu (r²SCAN, optimized geometry)
data_USbRu
_chemical_formula_sum 'U3 Sb3 Ru3'
_symmetry_space_group_name_H-M 'P 1'
_symmetry_Int_Tables_number 1
_cell_length_a 4.0130
_cell_length_b 7.3794
_cell_length_c 7.3807
_cell_angle_alpha 119.99
_cell_angle_beta 90.00
_cell_angle_gamma 90.00
loop_
_symmetry_equiv_pos_as_xyz
'x,y,z'
loop_
_atom_site_label
_atom_site_type_symbol
_atom_site_fract_x
_atom_site_fract_y
_atom_site_fract_z
Sb1 Sb 0.0000 0.7452 0.7452
Sb2 Sb 0.0000 0.9999 0.2548
Sb3 Sb 0.0000 0.2547 0.0000
U1 U 0.5000 0.0002 0.5781
U2 U 0.5000 0.4221 0.4220
U3 U 0.5000 0.5778 0.0000
Ru1 Ru 0.0000 0.3333 0.6666
Ru2 Ru 0.5000 0.0000 0.0000
Ru3 Ru 0.0000 0.6667 0.3334
# Energy relative to the elements   -520 meV per atom
# Energy   -44.211 eV per atom
# Size of the total moment   2.25 μB per formula unit